No. 1
Compound: KInBr4
Source: the Materials Project
Functional: r²SCAN
Structure: optimized geometry

abc: 7.9375 10.4950 10.5187
angles: 90.00 90.00 90.00
Last column: nearest neighbours and their distance in Å.
Space group Pnna (No. 52)
Asymmetric unit:
K 0.1790 0.2500 0.2500 [4 per cell]  8 Br 3.40-3.46
In 0.2500 0.0000 0.6798 [4 per cell]  4 Br 2.53
Br 0.0049 0.5422 0.3182 [8 per cell]  1 In 2.53
Br 0.1557 0.6883 0.9519 [8 per cell]  1 In 2.53

Values from the calculation:
Its total magnetization is 0.00 μB/cell. The calculation puts the total energy at -14.973 eV/atom. The formation energy from the elements is -1.367 eV/atom.

No. 2
Compound: K3LiSiO4
Source: the Materials Project
Functional: r²SCAN
Structure: optimized geometry

abc: 11.2677 9.6667 11.7701
angles: 90.00 121.44 90.00
Last column: nearest neighbours and their distance in Å.
Space group P2_1/c (No. 14)
Asymmetric unit:
K 0.1428 0.0816 0.1086 [4 per cell]  5 O 2.66-2.88
K 0.1628 0.0887 0.5926 [4 per cell]  4 O 2.61-2.80
K 0.1869 0.7416 0.5294 [4 per cell]  4 O 2.63-2.70
K 0.3116 0.7303 0.8414 [4 per cell]  4 O 2.61-2.68
K 0.3463 0.0889 0.4569 [4 per cell]  5 O 2.66-2.98
K 0.3545 0.0811 0.9408 [4 per cell]  4 O 2.64-2.80
Li 0.0133 0.1359 0.2841 [4 per cell]  4 O 1.95-2.02
Li 0.4833 0.1210 0.7644 [4 per cell]  4 O 1.95-2.00
Si 0.0239 0.1113 0.7828 [4 per cell]  4 O 1.65-1.66
Si 0.4806 0.1262 0.2654 [4 per cell]  4 O 1.65-1.66
O 0.0448 0.7028 0.6473 [4 per cell]  1 Si 1.65
O 0.0951 0.5440 0.8621 [4 per cell]  1 Si 1.66
O 0.1099 0.5239 0.3734 [4 per cell]  1 Si 1.65
O 0.1231 0.2216 0.7634 [4 per cell]  1 Si 1.65
O 0.3776 0.2295 0.1413 [4 per cell]  1 Si 1.65
O 0.3978 0.5583 0.2566 [4 per cell]  1 Si 1.66
O 0.3994 0.5097 0.7767 [4 per cell]  1 Si 1.65
O 0.4554 0.7259 0.1016 [4 per cell]  1 Si 1.65

Values from the calculation:
Its total magnetization is 0.00 μB/cell. The calculation puts the total energy at -8.245 eV/atom. The formation energy from the elements is -2.345 eV/atom.

No. 3
Compound: Li7Mn8B8O24
Source: the Materials Project
Functional: r²SCAN
Structure: optimized geometry

abc: 5.1917 9.0248 11.2000
angles: 68.23 77.21 89.21
Last column: nearest neighbours and their distance in Å.
Space group P1 (No. 1)
Asymmetric unit:
Li 0.0000 0.0000 0.0000 [1 per cell]  4 O 1.87-1.99
Li 0.0200 0.0436 0.2512 [1 per cell]  4 O 1.90-2.04
Li 0.2587 0.2979 0.7319 [1 per cell]  4 O 1.94-2.05
Li 0.4816 0.4908 0.0184 [1 per cell]  3 O 1.88-1.99
Li 0.5200 0.5434 0.2607 [1 per cell]  3 O 1.85-1.98
Li 0.7034 0.7612 0.5046 [1 per cell]  4 O 1.87-2.04
Li 0.7579 0.7889 0.7556 [1 per cell]  4 O 1.92-2.01
Mn 0.1980 0.9202 0.5329 [1 per cell]  5 O 2.00-2.14
Mn 0.2577 0.6110 0.7807 [1 per cell]  5 O 2.05-2.19
Mn 0.4698 0.8181 0.0364 [1 per cell]  5 O 2.03-2.19
Mn 0.4989 0.2060 0.2883 [1 per cell]  5 O 2.02-2.25
Mn 0.7175 0.4058 0.5285 [1 per cell]  5 O 2.04-2.24
Mn 0.7447 0.1101 0.7859 [1 per cell]  5 O 1.99-2.08
Mn 0.9774 0.3204 0.0300 [1 per cell]  5 O 2.07-2.21
Mn 0.9990 0.6994 0.2851 [1 per cell]  5 O 2.07-2.20
B 0.0089 0.3707 0.2786 [1 per cell]  3 O 1.35-1.40
B 0.2049 0.5763 0.5359 [1 per cell]  3 O 1.35-1.40
B 0.2519 0.9443 0.7892 [1 per cell]  3 O 1.37-1.40
B 0.4667 0.1481 0.0372 [1 per cell]  3 O 1.37-1.41
B 0.4915 0.8677 0.2930 [1 per cell]  3 O 1.37-1.40
B 0.6863 0.0594 0.5483 [1 per cell]  3 O 1.37-1.39
B 0.7574 0.4406 0.7894 [1 per cell]  3 O 1.37-1.39
B 0.9632 0.6500 0.0379 [1 per cell]  3 O 1.37-1.40
O 0.0057 0.4089 0.8173 [1 per cell]  1 B 1.39
O 0.0633 0.7699 0.0695 [1 per cell]  1 B 1.40
O 0.1250 0.0721 0.8050 [1 per cell]  1 B 1.37
O 0.1332 0.5515 0.9940 [1 per cell]  1 B 1.39
O 0.1390 0.8442 0.7432 [1 per cell]  1 B 1.39
O 0.1988 0.1232 0.0552 [1 per cell]  1 B 1.37
O 0.2726 0.3940 0.2653 [1 per cell]  1 B 1.35
O 0.3166 0.9732 0.3255 [1 per cell]  1 B 1.40
O 0.3220 0.6910 0.5687 [1 per cell]  1 B 1.40
O 0.3244 0.4399 0.5437 [1 per cell]  1 B 1.35
O 0.4037 0.7579 0.2479 [1 per cell]  1 B 1.39
O 0.4722 0.0957 0.4929 [1 per cell]  1 B 1.37
O 0.4961 0.9118 0.8229 [1 per cell]  1 B 1.40
O 0.5708 0.2639 0.0698 [1 per cell]  1 B 1.38
O 0.6352 0.3376 0.7482 [1 per cell]  1 B 1.39
O 0.6351 0.5696 0.8050 [1 per cell]  1 B 1.37
O 0.6391 0.0516 0.9884 [1 per cell]  1 B 1.41
O 0.6957 0.6291 0.0531 [1 per cell]  1 B 1.37
O 0.7476 0.8723 0.3057 [1 per cell]  1 B 1.37
O 0.7821 0.1671 0.5933 [1 per cell]  1 B 1.39
O 0.8001 0.9169 0.5634 [1 per cell]  1 B 1.38
O 0.8329 0.4694 0.3217 [1 per cell]  1 B 1.40
O 0.9066 0.2525 0.2463 [1 per cell]  1 B 1.39
O 0.9627 0.6060 0.4995 [1 per cell]  1 B 1.40

Values from the calculation:
Its total magnetization is 39.00 μB/cell. The calculation puts the total energy at -9.528 eV/atom. The formation energy from the elements is -2.373 eV/atom.

No. 4
Compound: V5Ge3
Source: the Materials Project
Functional: r²SCAN
Structure: optimized geometry

abc: 7.2652 7.2652 4.9477
angles: 90.00 90.00 120.00
Last column: nearest neighbours and their distance in Å.
Space group P6_3/mcm (No. 193)
Asymmetric unit:
V 0.0000 0.2511 0.2500 [6 per cell]  5 Ge 2.48-2.67
V 0.3333 0.6667 0.0000 [4 per cell]  2 V 2.47, 6 Ge 2.56
Ge 0.0000 0.3892 0.7500 [6 per cell]  9 V 2.48-2.67

Values from the calculation:
Its total magnetization is 4.72 μB/cell. The calculation puts the total energy at -14.377 eV/atom. The formation energy from the elements is -0.369 eV/atom.